Compound: LiMnBO4
Source: the Materials Project
Functional: PBE+U
Structure: relaxed

## Properties
- raw total energy (eV per cell) = -196.83
- volume (Å³/cell) = 237.1
- density (g cm⁻³) = 3.83
- ΔE_f (meV per atom) = -2297

```
LiMnBO4
1.0
-1.511 -4.085 1.079
5.200 -1.659 1.000
-0.878 2.723 9.080
O Mn B Li
16 4 4 4
Direct
0.771 0.041 0.169
0.271 0.541 0.331
0.729 0.459 0.669
0.820 0.250 0.949
0.750 0.750 0.397
0.680 0.250 0.449
0.750 0.750 0.897
0.229 0.959 0.831
0.320 0.750 0.551
0.771 0.459 0.169
0.250 0.250 0.103
0.729 0.041 0.669
0.229 0.541 0.831
0.180 0.750 0.051
0.250 0.250 0.603
0.271 0.959 0.331
0.985 0.750 0.229
0.515 0.750 0.729
0.485 0.250 0.271
0.015 0.250 0.771
0.935 0.250 0.091
0.065 0.750 0.909
0.565 0.250 0.591
0.435 0.750 0.409
0.500 0.500 0.000
0.500 0.000 0.000
0.000 0.000 0.500
0.000 0.500 0.500
```